Here is a geometry-optimized H2S structure from the Materials Project. Energies are from r2SCAN.

* energy relative to the lowest polymorph listed for this composition: 13.5 meV per atom
* ΔE_f: -157 meV per atom

Unit cell a=13.4022 b=13.4022 c=4.3202 alpha=90.00 beta=90.00 gamma=90.00
Space group P4_2 (No. 77)
Inequivalent atoms, fractional coordinates:
H 0.0512 0.3889 0.1845 (multiplicity 4)
H 0.0559 0.8849 0.1882 (multiplicity 4)
H 0.1079 0.5554 0.6736 (multiplicity 4)
H 0.1209 0.3102 0.5000 (multiplicity 4)
H 0.1318 0.8065 0.4902 (multiplicity 4)
H 0.1845 0.6315 0.9756 (multiplicity 4)
H 0.3185 0.3833 0.6721 (multiplicity 4)
H 0.3962 0.4479 0.9958 (multiplicity 4)
S 0.0964 0.6414 0.8322 (multiplicity 4)
S 0.1057 0.1430 0.8420 (multiplicity 4)
S 0.1384 0.3946 0.3398 (multiplicity 4)
S 0.3628 0.5974 0.3284 (multiplicity 4)

Here is a geometry-optimized Pb5SO8 structure from the Materials Project. Energies are from r2SCAN.

* ΔE_f: -1423 meV per atom

Unit cell a=7.3395 b=11.7765 c=11.6470 alpha=90.00 beta=90.83 gamma=90.00
Space group P2_1/c (No. 14)
Inequivalent atoms, fractional coordinates:
Pb 0.1109 0.2427 0.3864 (multiplicity 4)
Pb 0.1229 0.5910 0.8907 (multiplicity 4)
Pb 0.1344 0.5793 0.3727 (multiplicity 4)
Pb 0.3695 0.7398 0.6131 (multiplicity 4)
Pb 0.3741 0.0599 0.6167 (multiplicity 4)
S 0.3555 0.1052 0.1531 (multiplicity 4)
O 0.1272 0.7263 0.4891 (multiplicity 4)
O 0.1332 0.0837 0.4910 (multiplicity 4)
O 0.1372 0.6732 0.2080 (multiplicity 4)
O 0.2360 0.2037 0.1274 (multiplicity 4)
O 0.2743 0.0020 0.1030 (multiplicity 4)
O 0.3734 0.0921 0.2799 (multiplicity 4)
O 0.3919 0.5997 0.0017 (multiplicity 4)
O 0.4613 0.6283 0.3947 (multiplicity 4)

Here is a geometry-optimized K2PAu structure from the Materials Project. Energies are from r2SCAN.

* ΔE_f: -596 meV per atom

Unit cell a=9.7862 b=7.4006 c=6.1979 alpha=90.00 beta=90.00 gamma=90.00
Space group Cmcm (No. 63)
Inequivalent atoms, fractional coordinates:
K 0.1720 0.1460 0.2500 (multiplicity 8)
P 0.0000 0.2519 0.7500 (multiplicity 4)
Au 0.0000 0.5000 0.0000 (multiplicity 4)

Here is a geometry-optimized Sc5Ga3 structure from the Materials Project. Energies are from r2SCAN.

* energy relative to the lowest polymorph listed for this composition: 9.2 meV per atom
* ΔE_f: -581 meV per atom

Unit cell a=8.0922 b=8.0922 c=5.9479 alpha=90.00 beta=90.00 gamma=120.00
Space group P6_3/mcm (No. 193)
Inequivalent atoms, fractional coordinates:
Sc 0.0000 0.2447 0.2500 (multiplicity 6)
Sc 0.3333 0.6667 0.0000 (multiplicity 4)
Ga 0.0000 0.3970 0.7500 (multiplicity 6)

Here is a geometry-optimized Sr2Mg structure from the Materials Project. Energies are from r2SCAN.

* ΔE_f: -3 meV per atom

Unit cell a=15.4899 b=4.1723 c=8.3297 alpha=90.00 beta=105.42 gamma=90.00
Space group C2/m (No. 12)
Inequivalent atoms, fractional coordinates:
Sr 0.1417 0.0000 0.0697 (multiplicity 4)
Sr 0.1425 0.0000 0.5736 (multiplicity 4)
Mg 0.0018 0.5000 0.2509 (multiplicity 4)

Here is a geometry-optimized ScZn2 structure from the Materials Project. Energies are from r2SCAN.

* ΔE_f: -377 meV per atom

Unit cell a=5.2258 b=5.2258 c=8.4247 alpha=90.00 beta=90.00 gamma=120.00
Space group P6_3/mmc (No. 194)
Inequivalent atoms, fractional coordinates:
Sc 0.3333 0.6667 0.0613 (multiplicity 4)
Zn 0.0000 0.0000 0.0000 (multiplicity 2)
Zn 0.1708 0.3416 0.7500 (multiplicity 6)

Here is a geometry-optimized P2W2O11 structure from the Materials Project. Energies are from r2SCAN.

* energy relative to the lowest polymorph listed for this composition: 15.7 meV per atom
* ΔE_f: -2296 meV per atom

Unit cell a=7.6549 b=7.7999 c=6.3486 alpha=90.00 beta=90.00 gamma=90.00
Space group Pnnm (No. 58)
Inequivalent atoms, fractional coordinates:
P 0.1161 0.2453 0.0000 (multiplicity 4)
W 0.1834 0.1599 0.5000 (multiplicity 4)
O 0.0000 0.0000 0.5000 (multiplicity 2)
O 0.0617 0.3418 0.5000 (multiplicity 4)
O 0.0849 0.7722 0.0000 (multiplicity 4)
O 0.1681 0.4299 0.0000 (multiplicity 4)
O 0.1887 0.1469 0.1915 (multiplicity 8)

Here is a geometry-optimized Rb2NpO4 structure from the Materials Project. Energies are from r2SCAN.

* ΔE_f: -2754 meV per atom

Unit cell a=4.3213 b=4.3213 c=13.8734 alpha=90.00 beta=90.00 gamma=90.00
Space group I4/mmm (No. 139)
Inequivalent atoms, fractional coordinates:
Rb 0.0000 0.0000 0.1535 (multiplicity 4)
Np 0.0000 0.0000 0.5000 (multiplicity 2)
O 0.0000 0.0000 0.3621 (multiplicity 4)
O 0.0000 0.5000 0.0000 (multiplicity 4)

Here is a geometry-optimized Ni4B3 structure from the Materials Project. Energies are from r2SCAN.

* energy relative to the lowest polymorph listed for this composition: 2.0 meV per atom
* ΔE_f: -275 meV per atom

Unit cell a=6.3147 b=4.8503 c=7.7856 alpha=90.00 beta=101.91 gamma=90.00
Space group C2/c (No. 15)
Inequivalent atoms, fractional coordinates:
Ni 0.0450 0.2478 0.4937 (multiplicity 8)
Ni 0.2059 0.4285 0.7906 (multiplicity 8)
B 0.0000 0.0777 0.7500 (multiplicity 4)
B 0.2352 0.0760 0.9402 (multiplicity 8)

Here is a geometry-optimized CaVF5 structure from the Materials Project. Energies are from r2SCAN.

* energy relative to the lowest polymorph listed for this composition: 0.0 meV per atom
* ΔE_f: -3657 meV per atom

Unit cell a=9.0518 b=6.4769 c=7.6787 alpha=90.00 beta=115.23 gamma=90.00
Space group C2/c (No. 15)
Inequivalent atoms, fractional coordinates:
Ca 0.0000 0.0465 0.2500 (multiplicity 4)
V 0.0000 0.5000 0.0000 (multiplicity 4)
F 0.0000 0.4116 0.2500 (multiplicity 4)
F 0.0085 0.2044 0.9671 (multiplicity 8)
F 0.2306 0.4854 0.6189 (multiplicity 8)

Here is a geometry-optimized Rb3HoO3 structure from the Materials Project. Energies are from r2SCAN.

* energy relative to the lowest polymorph listed for this composition: 0.0 meV per atom
* ΔE_f: -2135 meV per atom

Unit cell a=7.8060 b=7.3002 c=11.6327 alpha=90.00 beta=93.63 gamma=90.00
Space group P2_1/c (No. 14)
Inequivalent atoms, fractional coordinates:
Rb 0.0744 0.1255 0.1572 (multiplicity 4)
Rb 0.3605 0.1646 0.9206 (multiplicity 4)
Rb 0.3739 0.6988 0.8101 (multiplicity 4)
Ho 0.1617 0.5898 0.0685 (multiplicity 4)
O 0.1111 0.0498 0.4050 (multiplicity 4)
O 0.2576 0.6444 0.5471 (multiplicity 4)
O 0.3083 0.0577 0.6920 (multiplicity 4)

Here is a geometry-optimized Yb3Sb5O12 structure from the Materials Project. Energies are from r2SCAN.

* ΔE_f: -2327 meV per atom

Unit cell a=10.6121 b=10.6121 c=10.6121 alpha=90.00 beta=90.00 gamma=90.00
Space group Im-3m (No. 229)
Inequivalent atoms, fractional coordinates:
Yb 0.0000 0.2500 0.5000 (multiplicity 12)
Sb 0.0000 0.0000 0.2802 (multiplicity 12)
Sb 0.2500 0.2500 0.2500 (multiplicity 8)
O 0.1215 0.1215 0.3686 (multiplicity 48)